[1]
A geometry-optimized Lu2Zn17 structure, computed with GGA-PBE.

Cell: 8.990 8.990 8.650 Å, 90.00 90.00 120.26°
Fractional coordinates of all 38 atoms:
Lu 0.001 0.999 0.750
Lu 0.334 0.666 0.250
Lu 0.666 0.334 0.750
Lu 0.999 0.001 0.250
Zn 0.000 0.500 0.000
Zn 0.000 0.500 0.500
Zn 0.028 0.359 0.750
Zn 0.029 0.669 0.750
Zn 0.162 0.324 0.016
Zn 0.162 0.324 0.484
Zn 0.162 0.838 0.016
Zn 0.162 0.838 0.484
Zn 0.324 0.162 0.516
Zn 0.324 0.162 0.984
Zn 0.330 0.359 0.750
Zn 0.331 0.971 0.750
Zn 0.333 0.667 0.597
Zn 0.333 0.667 0.903
Zn 0.359 0.028 0.250
Zn 0.359 0.330 0.250
Zn 0.500 0.000 0.000
Zn 0.500 0.000 0.500
Zn 0.500 0.500 0.000
Zn 0.500 0.500 0.500
Zn 0.641 0.670 0.750
Zn 0.641 0.972 0.750
Zn 0.667 0.333 0.097
Zn 0.667 0.333 0.403
Zn 0.669 0.029 0.250
Zn 0.670 0.641 0.250
Zn 0.676 0.838 0.016
Zn 0.676 0.838 0.484
Zn 0.838 0.162 0.516
Zn 0.838 0.162 0.984
Zn 0.838 0.676 0.516
Zn 0.838 0.676 0.984
Zn 0.971 0.331 0.250
Zn 0.972 0.641 0.250

Computed properties:
Its electronic total energy is -1.81 eV/atom.

=====

[2]
A geometry-optimized Lu6Zn23 structure, computed with GGA-PBE.

Cell: 8.886 8.886 8.886 Å, 60.00 60.00 60.00°
Fractional coordinates of all 29 atoms:
Lu 0.204 0.204 0.796
Lu 0.204 0.796 0.204
Lu 0.204 0.796 0.796
Lu 0.796 0.204 0.204
Lu 0.796 0.204 0.796
Lu 0.796 0.796 0.204
Zn 0.000 0.000 0.500
Zn 0.000 0.500 0.000
Zn 0.000 0.500 0.500
Zn 0.135 0.622 0.622
Zn 0.171 0.171 0.171
Zn 0.171 0.171 0.487
Zn 0.171 0.487 0.171
Zn 0.378 0.378 0.378
Zn 0.378 0.378 0.865
Zn 0.378 0.865 0.378
Zn 0.487 0.171 0.171
Zn 0.500 0.000 0.000
Zn 0.500 0.000 0.500
Zn 0.500 0.500 0.000
Zn 0.500 0.500 0.500
Zn 0.513 0.829 0.829
Zn 0.622 0.135 0.622
Zn 0.622 0.622 0.135
Zn 0.622 0.622 0.622
Zn 0.829 0.513 0.829
Zn 0.829 0.829 0.513
Zn 0.829 0.829 0.829
Zn 0.865 0.378 0.378

Computed properties:
Its electronic total energy is -2.23 eV/atom.

=====

[3]
A geometry-optimized LuZn3 structure, computed with GGA-PBE.

Cell: 6.607 4.338 9.969 Å, 90.00 90.00 90.00°
Fractional coordinates of all 16 atoms:
Lu 0.220 0.250 0.164
Lu 0.280 0.750 0.664
Lu 0.720 0.250 0.336
Lu 0.780 0.750 0.836
Zn 0.036 0.750 0.397
Zn 0.081 0.250 0.851
Zn 0.217 0.750 0.957
Zn 0.283 0.250 0.457
Zn 0.419 0.750 0.351
Zn 0.464 0.250 0.897
Zn 0.536 0.750 0.103
Zn 0.581 0.250 0.649
Zn 0.717 0.750 0.543
Zn 0.783 0.250 0.043
Zn 0.919 0.750 0.149
Zn 0.964 0.250 0.603

Computed properties:
Its electronic total energy is -2.42 eV/atom.

=====

[4]
A geometry-optimized LuZr structure, computed with GGA-PBE.

Cell: 3.377 3.377 5.283 Å, 90.00 90.00 120.00°
Fractional coordinates of all 2 atoms:
Lu 0.000 0.000 0.000
Zr 0.333 0.667 0.500

Computed properties:
Its electronic total energy is -6.49 eV/atom.

=====

[5]
A geometry-optimized LuZr3 structure, computed with GGA-PBE.

Cell: 6.603 6.603 5.233 Å, 90.00 90.00 120.00°
Fractional coordinates of all 8 atoms:
Lu 0.333 0.667 0.250
Lu 0.667 0.333 0.750
Zr 0.164 0.328 0.750
Zr 0.164 0.836 0.750
Zr 0.328 0.164 0.250
Zr 0.672 0.836 0.750
Zr 0.836 0.164 0.250
Zr 0.836 0.672 0.250

Computed properties:
Its electronic total energy is -7.53 eV/atom.

=====

[6]
A geometry-optimized Mg7Mn structure, computed with GGA-PBE.

Cell: 6.163 6.163 4.906 Å, 90.00 90.00 120.00°
Fractional coordinates of all 8 atoms:
Mg 0.000 0.000 0.000
Mg 0.020 0.510 0.000
Mg 0.335 0.168 0.500
Mg 0.490 0.510 0.000
Mg 0.490 0.980 0.000
Mg 0.832 0.168 0.500
Mg 0.832 0.665 0.500
Mn 0.333 0.667 0.500

Computed properties:
Its electronic total energy is -2.43 eV/atom.

=====

[7]
A geometry-optimized Mg14MnMo structure, computed with GGA-PBE.

Cell: 9.967 6.283 6.283 Å, 59.03 90.00 90.00°
Fractional coordinates of all 16 atoms:
Mg 0.000 0.000 0.000
Mg 0.000 0.001 0.502
Mg 0.000 0.500 0.500
Mg 0.000 0.502 0.001
Mg 0.255 0.163 0.163
Mg 0.257 0.661 0.661
Mg 0.263 0.174 0.668
Mg 0.263 0.668 0.174
Mg 0.500 0.000 0.502
Mg 0.500 0.502 0.000
Mg 0.737 0.174 0.668
Mg 0.737 0.668 0.174
Mg 0.743 0.661 0.661
Mg 0.745 0.163 0.163
Mn 0.500 0.000 0.000
Mo 0.500 0.505 0.505

Computed properties:
Its electronic total energy is -2.51 eV/atom.

=====

[8]
A geometry-optimized Mg14MnMo structure, computed with GGA-PBE.

Cell: 6.282 6.282 9.886 Å, 90.00 90.00 120.00°
Fractional coordinates of all 16 atoms:
Mg 0.000 0.000 0.249
Mg 0.000 0.000 0.751
Mg 0.015 0.508 0.246
Mg 0.015 0.508 0.754
Mg 0.335 0.167 0.500
Mg 0.335 0.168 0.000
Mg 0.492 0.508 0.246
Mg 0.492 0.508 0.754
Mg 0.492 0.985 0.246
Mg 0.492 0.985 0.754
Mg 0.832 0.168 0.000
Mg 0.832 0.665 0.000
Mg 0.833 0.167 0.500
Mg 0.833 0.665 0.500
Mn 0.333 0.667 0.500
Mo 0.333 0.667 0.000

Computed properties:
Its electronic total energy is -2.49 eV/atom.

=====

[9]
A geometry-optimized Mg6MnMo structure, computed with GGA-PBE.

Cell: 4.773 5.977 10.883 Å, 90.00 90.00 90.00°
Fractional coordinates of all 16 atoms:
Mg 0.000 0.740 0.081
Mg 0.000 0.260 0.081
Mg 0.500 0.257 0.421
Mg 0.000 0.240 0.581
Mg 0.000 0.500 0.830
Mg 0.500 0.243 0.921
Mg 0.500 0.500 0.669
Mg 0.000 0.760 0.581
Mg 0.500 0.743 0.421
Mg 0.500 0.757 0.921
Mg 0.500 0.000 0.169
Mg 0.000 0.000 0.330
Mo 0.500 0.500 0.189
Mo 0.500 0.000 0.689
Mn 0.000 0.000 0.807
Mn 0.000 0.500 0.307

Computed properties:
Its electronic total energy is -3.46 eV/atom.

=====

[10]
A geometry-optimized Mg6MnMo structure, computed with GGA-PBE.

Cell: 4.879 5.939 10.758 Å, 90.00 90.00 90.00°
Fractional coordinates of all 16 atoms:
Mg 0.500 0.250 0.920
Mg 0.000 0.500 0.824
Mg 0.000 0.500 0.323
Mg 0.500 0.750 0.920
Mg 0.500 0.750 0.420
Mg 0.000 0.755 0.588
Mg 0.000 0.745 0.088
Mg 0.000 0.245 0.588
Mg 0.500 0.250 0.420
Mg 0.000 0.255 0.088
Mg 0.000 0.000 0.823
Mg 0.000 0.000 0.324
Mn 0.500 0.500 0.666
Mn 0.500 0.000 0.166
Mo 0.500 0.500 0.172
Mo 0.500 0.000 0.672

Computed properties:
Its electronic total energy is -3.42 eV/atom.

=====

[11]
A geometry-optimized Mg2MnMo3S8 structure, computed with GGA-PBE.

Cell: 7.381 7.381 7.381 Å, 60.61 60.61 60.61°
Fractional coordinates of all 14 atoms:
Mg 0.123 0.123 0.123
Mg 0.877 0.877 0.877
Mn 0.500 0.500 0.500
Mo 0.000 0.500 0.500
Mo 0.500 0.000 0.500
Mo 0.500 0.500 0.000
S 0.260 0.260 0.260
S 0.260 0.260 0.717
S 0.260 0.717 0.260
S 0.283 0.740 0.740
S 0.717 0.260 0.260
S 0.740 0.283 0.740
S 0.740 0.740 0.283
S 0.740 0.740 0.740

Computed properties:
Its electronic total energy is -6.20 eV/atom.

=====

[12]
A geometry-optimized MgMn10N8 structure, computed with GGA-PBE.

Cell: 7.572 7.572 6.634 Å, 106.80 106.80 31.21°
Fractional coordinates of all 19 atoms:
Mg 0.000 0.000 0.000
Mn 0.098 0.098 0.465
Mn 0.180 0.180 0.921
Mn 0.283 0.283 0.323
Mn 0.350 0.350 0.787
Mn 0.458 0.458 0.282
Mn 0.542 0.542 0.718
Mn 0.650 0.650 0.213
Mn 0.717 0.717 0.677
Mn 0.820 0.820 0.079
Mn 0.902 0.902 0.535
N 0.048 0.048 0.723
N 0.146 0.146 0.208
N 0.324 0.324 0.072
N 0.401 0.401 0.546
N 0.599 0.599 0.454
N 0.676 0.676 0.928
N 0.854 0.854 0.792
N 0.952 0.952 0.277

Computed properties:
Its electronic total energy is -8.72 eV/atom.

=====

[13]
A geometry-optimized MgMnN2 structure, computed with GGA-PBE.

Cell: 5.559 6.415 5.143 Å, 90.00 90.00 90.00°
Fractional coordinates of all 16 atoms:
Mg 0.095 0.121 0.000
Mg 0.405 0.621 0.500
Mg 0.595 0.379 0.000
Mg 0.905 0.879 0.500
Mn 0.074 0.628 0.009
Mn 0.426 0.128 0.509
Mn 0.574 0.872 0.009
Mn 0.926 0.372 0.509
N 0.054 0.601 0.357
N 0.109 0.147 0.413
N 0.391 0.647 0.913
N 0.446 0.101 0.857
N 0.554 0.899 0.357
N 0.609 0.353 0.413
N 0.891 0.853 0.913
N 0.946 0.399 0.857

Computed properties:
Its electronic total energy is -7.31 eV/atom.

=====

[14]
A geometry-optimized MgMnN2 structure, computed with GGA-PBE.

Cell: 2.956 2.956 14.759 Å, 90.00 90.00 120.00°
Fractional coordinates of all 12 atoms:
Mg 0.000 0.000 0.000
Mg 0.333 0.667 0.667
Mg 0.667 0.333 0.333
Mn 0.000 0.000 0.500
Mn 0.333 0.667 0.167
Mn 0.667 0.333 0.833
N 0.000 0.000 0.241
N 0.000 0.000 0.759
N 0.333 0.667 0.426
N 0.333 0.667 0.908
N 0.667 0.333 0.092
N 0.667 0.333 0.574

Computed properties:
Its electronic total energy is -7.43 eV/atom.

=====

[15]
A geometry-optimized MgMnN2 structure, computed with GGA-PBE.

Cell: 4.541 4.541 8.865 Å, 90.00 90.00 90.00°
Fractional coordinates of all 16 atoms:
Mg 0.000 0.000 0.000
Mg 0.000 0.500 0.250
Mg 0.500 0.000 0.750
Mg 0.500 0.500 0.500
Mn 0.000 0.000 0.500
Mn 0.000 0.500 0.750
Mn 0.500 0.000 0.250
Mn 0.500 0.500 0.000
N 0.196 0.250 0.625
N 0.250 0.696 0.875
N 0.250 0.804 0.375
N 0.304 0.250 0.125
N 0.696 0.750 0.125
N 0.750 0.196 0.375
N 0.750 0.304 0.875
N 0.804 0.750 0.625

Computed properties:
Its electronic total energy is -7.30 eV/atom.

=====

[16]
A geometry-optimized Mg2MnN3 structure, computed with GGA-PBE.

Cell: 5.772 5.772 4.966 Å, 90.00 90.00 60.48°
Fractional coordinates of all 12 atoms:
Mg 0.009 0.664 0.500
Mg 0.336 0.991 0.500
Mg 0.664 0.009 0.000
Mg 0.991 0.336 0.000
Mn 0.332 0.668 0.990
Mn 0.668 0.332 0.490
N 0.034 0.670 0.069
N 0.330 0.966 0.069
N 0.376 0.624 0.624
N 0.624 0.376 0.124
N 0.670 0.034 0.569
N 0.966 0.330 0.569

Computed properties:
Its electronic total energy is -6.78 eV/atom.

=====

[17]
A geometry-optimized Mg8Mn3N8 structure, computed with GGA-PBE.

Cell: 8.515 8.515 6.583 Å, 103.67 103.67 29.82°
Fractional coordinates of all 19 atoms:
Mg 0.026 0.026 0.242
Mg 0.196 0.196 0.799
Mg 0.337 0.337 0.527
Mg 0.404 0.404 0.033
Mg 0.596 0.596 0.967
Mg 0.663 0.663 0.473
Mg 0.804 0.804 0.201
Mg 0.974 0.974 0.758
Mn 0.187 0.187 0.210
Mn 0.500 0.500 0.500
Mn 0.813 0.813 0.790
N 0.098 0.098 0.985
N 0.167 0.167 0.459
N 0.292 0.292 0.184
N 0.472 0.472 0.741
N 0.528 0.528 0.259
N 0.708 0.708 0.816
N 0.833 0.833 0.541
N 0.902 0.902 0.015

Computed properties:
Its electronic total energy is -6.13 eV/atom.